# 1
## K2PdBrCl3 (GGA-PBE)

Data for crystalline K2PdBrCl3 at its relaxed geometry.

a b c (Å): 4.2624 10.3222 10.2686
angles (deg): 90.00 90.00 90.00
Closest atoms and distances in Å follow each position.
Space group Amm2 (No. 38)
Symmetry-distinct sites (fractional):
K 0.0000 0.2434 0.0000  6 Cl 3.30-3.36, 2 Br 3.40
Pd 0.5000 0.0000 0.2481  3 Cl 2.33-2.35, 1 Br 2.45
Br 0.5000 0.0000 0.4868  1 Pd 2.45
Cl 0.5000 0.0000 0.0194  1 Pd 2.35
Cl 0.5000 0.2262 0.2484  1 Pd 2.33

Formation energy from the elements in eV per atom: -1.5883

# 2
## K2PdBr3Cl (GGA-PBE)

Data for crystalline K2PdBr3Cl at its relaxed geometry.

a b c (Å): 4.3769 10.5154 10.5638
angles (deg): 90.00 90.00 90.00
Closest atoms and distances in Å follow each position.
Space group Amm2 (No. 38)
Symmetry-distinct sites (fractional):
K 0.0000 0.2446 0.0000  2 Cl 3.39, 6 Br 3.42-3.47
Pd 0.5000 0.0000 0.2477  1 Cl 2.35, 3 Br 2.46-2.47
Br 0.5000 0.0000 0.4804  1 Pd 2.46
Br 0.5000 0.2345 0.2485  1 Pd 2.47
Cl 0.5000 0.0000 0.0256  1 Pd 2.35

Formation energy from the elements in eV per atom: -1.3171

# 3
## K2SBrCl6 (GGA-PBE)

Data for crystalline K2SBrCl6 at its relaxed geometry.

a b c (Å): 10.5868 10.5868 10.5868
angles (deg): 90.00 90.00 90.00
Closest atoms and distances in Å follow each position.
Space group Fm-3m (No. 225)
Symmetry-distinct sites (fractional):
K 0.2500 0.2500 0.2500  12 Cl 3.76
S 0.0000 0.0000 0.0000  6 Cl 2.33
Br 0.0000 0.0000 0.5000  6 Cl 2.96
Cl 0.0000 0.0000 0.2205  1 S 2.33

Formation energy from the elements in eV per atom: -1.1241

# 4
## La2BrClO2 (GGA-PBE)

Data for crystalline La2BrClO2 at its relaxed geometry.

a b c (Å): 4.1431 4.1431 7.3054
angles (deg): 90.00 90.00 90.00
Closest atoms and distances in Å follow each position.
Space group P4mm (No. 99)
Symmetry-distinct sites (fractional):
La 0.0000 0.0000 0.0000  4 O 2.40
La 0.5000 0.5000 0.3315  4 O 2.39
Br 0.0000 0.0000 0.5405  5 La 3.30-3.36, 4 O 3.43, 4 Cl 3.53
Cl 0.5000 0.5000 0.8109  5 La 3.24-3.50, 4 O 3.33, 4 Br 3.53
O 0.0000 0.5000 0.1671  4 La 2.39-2.40

Formation energy from the elements in eV per atom: -3.3114

# 5
## La4BrCl3O4 (GGA-PBE)

Data for crystalline La4BrCl3O4 at its relaxed geometry.

a b c (Å): 4.1331 4.1331 14.3362
angles (deg): 90.00 90.00 90.00
Closest atoms and distances in Å follow each position.
Space group P4mm (No. 99)
Symmetry-distinct sites (fractional):
La 0.0000 0.0000 0.0000  4 O 2.39
La 0.0000 0.0000 0.4957  4 O 2.39
La 0.5000 0.5000 0.1687  4 O 2.40
La 0.5000 0.5000 0.6643  4 O 2.39
Br 0.5000 0.5000 0.8956  5 La 3.28-3.32, 4 O 3.40, 4 Cl 3.49
Cl 0.0000 0.0000 0.2651  5 La 3.23-3.31, 4 O 3.32, 4 Cl 3.49
Cl 0.0000 0.0000 0.7620  5 La 3.24-3.41, 4 O 3.33, 4 Br 3.49
Cl 0.5000 0.5000 0.3980  5 La 3.24-3.29, 4 O 3.33, 4 Cl 3.49
O 0.0000 0.5000 0.0839  4 La 2.39-2.40
O 0.0000 0.5000 0.5799  4 La 2.39

Formation energy from the elements in eV per atom: -3.3541

# 6
## PdRuBr4N5Cl (GGA-PBE)

Data for crystalline PdRuBr4N5Cl at its relaxed geometry.

a b c (Å): 14.1706 9.1150 11.3608
angles (deg): 90.00 90.00 90.00
Closest atoms and distances in Å follow each position.
Space group Pnma (No. 62)
Symmetry-distinct sites (fractional):
Pd 0.1423 0.2500 0.1795  4 Br 2.45-2.63
Ru 0.0376 0.2500 0.8276  3 N 1.66-1.85
Br 0.0047 0.7500 0.9619  1 Ru 2.46, 1 Pd 2.63
Br 0.1364 0.5252 0.2056  1 N 1.86
Br 0.1873 0.7500 0.7139  1 Cl 2.39, 1 Pd 2.45
N 0.0105 0.5744 0.2276  1 Ru 1.85, 1 Br 1.86
N 0.1526 0.2500 0.7992  1 Ru 1.66
N 0.1781 0.1889 0.5081  1 N 1.11
Cl 0.0621 0.7500 0.5722  1 Br 2.39

Formation energy from the elements in eV per atom: 0.4867

# 7
## ReRhBr6N5Cl (GGA-PBE)

Data for crystalline ReRhBr6N5Cl at its relaxed geometry.

a b c (Å): 8.2940 11.5460 16.0317
angles (deg): 75.93 89.43 88.99
Closest atoms and distances in Å follow each position.
Space group P-1 (No. 2)
Symmetry-distinct sites (fractional):
Re 0.2463 0.2975 0.1369  6 Br 2.43-2.49
Re 0.2479 0.2833 0.6400  6 Br 2.42-2.50
Rh 0.2425 0.7788 0.1180  1 N 1.70
Rh 0.2666 0.7802 0.6424  1 N 1.70
Br 0.0303 0.1574 0.1404  1 Re 2.43
Br 0.0444 0.4622 0.1270  1 Re 2.49
Br 0.0456 0.6960 0.3567  1 Re 2.44
Br 0.2338 0.1041 0.7588  1 Re 2.45
Br 0.2337 0.1642 0.5355  1 Re 2.42
Br 0.2373 0.2625 0.2952  1 Re 2.47
Br 0.2559 0.3393 0.9806  1 Re 2.44
Br 0.2608 0.4085 0.7465  1 Re 2.50
Br 0.2615 0.4693 0.5247  1 Re 2.47
Br 0.4505 0.1416 0.1473  1 Re 2.43
Br 0.4582 0.4474 0.1338  1 Re 2.48
Br 0.4590 0.7317 0.3578  1 Re 2.43
N 0.0168 0.8145 0.0754  1 Rh 2.00
N 0.0953 0.7039 0.5873  1 Rh 2.01
N 0.1071 0.9122 0.6350  1 Rh 1.98
N 0.2048 0.9103 0.1786  1 Rh 2.01
N 0.2353 0.6495 0.1957  1 Rh 1.70
N 0.2721 0.7032 0.7470  1 Rh 1.70
N 0.2853 0.7377 0.0068  1 Rh 1.98
N 0.4218 0.6989 0.5781  1 Rh 2.00
N 0.4332 0.9052 0.6267  1 Rh 1.99
N 0.4733 0.8272 0.1124  1 Rh 2.00
Cl 0.2507 0.8978 0.4762  1 Rh 2.68, 4 N 2.82-2.88
Cl 0.2561 0.9822 0.9993  1 Rh 2.64, 4 N 2.80-2.85

Formation energy from the elements in eV per atom: 1.2307

# 8
## Sr4BrN2Cl (GGA-PBE)

Data for crystalline Sr4BrN2Cl at its relaxed geometry.

a b c (Å): 3.9355 3.9355 43.6139
angles (deg): 90.00 90.00 120.00
Closest atoms and distances in Å follow each position.
Space group R-3m (No. 166, hexagonal axes)
Symmetry-distinct sites (fractional):
Sr 0.0000 0.0000 0.1125  3 N 2.64
Sr 0.0000 0.0000 0.3841  3 N 2.64
Br 0.0000 0.0000 0.5000  6 Sr 3.28
N 0.0000 0.0000 0.2517  6 Sr 2.64
Cl 0.0000 0.0000 0.0000  6 Sr 3.17

Relative energy among the computed polymorphs in eV/atom: 0.000
Formation energy from the elements in eV per atom: -1.4329